# 1
Here is crystalline Li24Ti5Cr7O36 at its relaxed geometry from the Materials Project. Energies are from PBE with a Hubbard U. Values from VASP.

Quantum ESPRESSO input file:
```
&SYSTEM
  ibrav = 0, nat = 72, ntyp = 4
/
ATOMIC_SPECIES
Li 6.94 Li.upf
Ti 47.87 Ti.upf
Cr 52.00 Cr.upf
O 16.00 O.upf
ATOMIC_POSITIONS angstrom
Li 0.000 0.000 0.000
Li 2.411 8.697 9.052
Li 1.549 5.646 5.095
Li 2.440 1.551 10.152
Li 1.611 5.219 2.110
Li 3.273 4.134 11.195
Li 2.421 1.118 7.253
Li 4.122 6.744 12.310
Li 2.530 0.672 4.333
Li 2.411 7.385 0.342
Li 4.064 6.311 9.441
Li 2.463 0.235 1.455
Li 4.164 5.873 6.472
Li 3.283 2.842 2.539
Li 4.900 1.747 11.575
Li 4.090 5.440 3.631
Li 5.804 11.061 8.675
Li 4.936 8.042 4.707
Li 4.098 4.995 0.780
Li 5.739 10.626 5.797
Li 6.657 6.513 10.800
Li 5.796 3.472 6.886
Li 4.914 0.451 2.887
Li 6.625 6.086 7.976
Ti 2.430 8.228 6.162
Ti 2.391 7.868 3.253
Ti 5.801 4.318 12.647
Ti 7.473 9.097 11.957
Ti 5.792 3.094 3.956
Cr 0.779 2.616 1.085
Cr 3.307 3.690 8.364
Cr 3.250 3.273 5.460
Cr 4.924 8.933 10.467
Cr 4.963 8.464 7.633
Cr 5.809 3.907 9.740
Cr 4.916 7.598 1.795
O 0.641 6.290 0.506
O 1.694 9.141 4.549
O 2.396 4.990 9.457
O 1.498 8.683 1.729
O 1.701 2.173 5.501
O 3.347 7.815 10.750
O 1.478 1.757 2.650
O 2.568 4.534 6.692
O 4.012 10.225 11.677
O 2.367 4.154 3.909
O 3.332 7.386 7.682
O 4.182 3.254 12.921
O 3.130 6.951 4.868
O 4.197 9.751 8.939
O 2.357 3.692 0.823
O 4.158 2.821 9.810
O 4.049 9.344 6.128
O 3.362 6.530 2.061
O 3.992 2.422 7.083
O 5.094 5.204 11.034
O 4.027 8.921 3.004
O 5.821 8.030 11.975
O 4.926 4.788 8.303
O 4.176 1.976 4.277
O 5.670 7.623 9.163
O 4.230 8.460 0.245
O 4.891 4.343 5.176
O 6.531 9.992 10.428
O 4.209 1.528 1.155
O 5.856 7.154 6.422
O 6.517 3.048 11.359
O 5.066 3.920 2.374
O 6.518 9.557 7.353
O 5.829 6.741 3.298
O 7.447 5.430 12.617
O 6.683 2.641 8.622
CELL_PARAMETERS angstrom
5.051 0.000 0.000
0.790 9.763 0.000
2.505 1.954 13.028
```

## Properties
Calculated volume ... 8.92 A^3/atom
Formation energy from the elements ... -245.3 kJ per mole of atoms
E (MP2020) ... -7.139 eV/atom
Size of the total moment ... 14.000 μB/f.u.

# 2
Here is crystalline Li32Ti3Cr13O48 at its relaxed geometry from the Materials Project. Energies are from PBE with a Hubbard U. Values from VASP.

Quantum ESPRESSO input file:
```
&SYSTEM
  ibrav = 0, nat = 96, ntyp = 4
/
ATOMIC_SPECIES
Li 6.94 Li.upf
Ti 47.87 Ti.upf
Cr 52.00 Cr.upf
O 16.00 O.upf
ATOMIC_POSITIONS angstrom
Li 0.000 0.000 0.000
Li 5.052 2.876 0.009
Li -0.815 1.434 9.607
Li 0.042 5.747 0.018
Li -0.791 4.317 9.625
Li 0.029 2.877 7.213
Li -0.823 1.446 16.826
Li 0.827 1.460 4.826
Li 0.001 0.035 14.433
Li 0.857 4.314 4.821
Li 0.019 5.761 14.422
Li 0.880 7.209 4.820
Li 0.047 2.866 14.432
Li 0.848 4.334 12.024
Li 1.716 5.779 2.388
Li 1.624 2.889 9.616
Li 0.807 1.463 19.240
Li 0.838 4.353 19.241
Li 1.703 5.786 9.629
Li 1.755 -0.020 9.624
Li 0.916 -1.468 19.243
Li 1.688 5.815 16.845
Li 2.546 7.252 7.218
Li 2.506 -1.440 14.440
Li 3.349 5.807 4.804
Li 2.514 4.391 14.443
Li 3.381 -0.022 4.805
Li 2.546 1.402 14.441
Li 3.444 2.865 4.810
Li 3.374 -0.018 12.040
Li 4.242 1.429 2.408
Li 4.176 7.273 9.605
Ti -0.819 -1.487 16.872
Ti 1.720 2.847 2.436
Ti 3.373 2.916 12.007
Cr -0.007 5.745 7.203
Cr -0.855 4.302 16.835
Cr 0.047 -0.054 7.230
Cr 1.694 -0.081 2.396
Cr 0.842 1.408 12.020
Cr 0.866 -1.519 12.039
Cr 2.529 4.387 7.205
Cr 1.676 2.948 16.824
Cr 1.712 0.021 16.841
Cr 2.569 1.460 7.227
Cr 4.210 7.283 2.386
Cr 3.383 5.846 12.028
Cr 4.252 4.358 2.405
O -0.123 5.773 3.458
O -0.962 4.374 13.109
O -0.807 -1.597 13.108
O 0.048 -0.182 3.489
O 0.091 2.965 3.535
O -0.732 1.535 13.129
O 0.763 4.234 1.297
O -0.061 2.798 10.894
O -0.028 5.943 10.934
O 0.827 7.359 1.319
O 1.000 1.394 1.320
O 0.152 -0.010 10.972
O 0.712 7.244 8.287
O -0.119 5.776 17.932
O 0.024 3.027 17.939
O 0.880 4.478 8.317
O 0.083 -0.092 17.927
O 0.952 1.330 8.296
O 1.611 0.094 6.148
O 0.808 -1.340 15.759
O 1.668 5.666 6.107
O 0.816 4.226 15.734
O 0.963 1.483 15.759
O 1.832 2.916 6.136
O 1.581 -0.054 13.103
O 2.430 1.391 3.498
O 2.559 7.363 3.503
O 1.716 5.928 13.132
O 1.743 2.774 13.111
O 2.624 4.244 3.486
O 2.464 1.527 10.944
O 3.350 2.996 1.322
O 3.366 -0.160 1.298
O 2.521 -1.596 10.924
O 3.503 5.817 1.317
O 2.656 4.375 10.937
O 3.240 2.887 8.279
O 2.395 1.437 17.893
O 3.407 5.654 8.302
O 2.559 4.202 17.928
O 2.610 -1.369 17.973
O 3.482 0.069 8.323
O 3.282 -0.102 15.737
O 4.140 1.298 6.132
O 4.204 4.461 6.131
O 3.352 3.025 15.755
O 4.350 7.203 6.135
O 3.499 5.779 15.760
CELL_PARAMETERS angstrom
5.059 0.000 0.000
-0.014 8.721 0.000
-1.705 -2.874 19.253
```

## Properties
Calculated volume ... 8.85 A^3/atom
Formation energy from the elements ... -229.0 kJ per mole of atoms
E (MP2020) ... -7.038 eV/atom
Size of the total moment ... 25.999 μB/f.u.

# 3
Here is crystalline Li24Ti7Cr5O36 at its relaxed geometry from the Materials Project. Energies are from PBE with a Hubbard U. Values from VASP.

Quantum ESPRESSO input file:
```
&SYSTEM
  ibrav = 0, nat = 72, ntyp = 4
/
ATOMIC_SPECIES
Li 6.94 Li.upf
Ti 47.87 Ti.upf
Cr 52.00 Cr.upf
O 16.00 O.upf
ATOMIC_POSITIONS angstrom
Li 0.000 0.000 0.000
Li 3.404 3.933 6.524
Li -0.862 1.740 4.706
Li -2.525 5.671 11.267
Li -0.836 1.312 7.625
Li 0.035 7.181 1.084
Li 0.086 6.755 3.949
Li -0.764 0.916 10.510
Li 0.856 4.569 2.174
Li -0.788 8.501 8.695
Li 1.652 2.422 0.371
Li 0.008 6.316 6.912
Li 1.669 1.979 3.280
Li 0.058 5.892 9.781
Li 0.065 5.462 12.639
Li 1.778 1.554 6.139
Li 0.876 3.298 10.864
Li 2.541 -0.631 4.351
Li 1.654 1.110 9.071
Li 2.533 6.968 2.569
Li 2.528 6.549 5.443
Li 1.745 0.688 11.958
Li 2.603 6.133 8.326
Li 4.273 2.164 1.784
Ti -1.632 3.560 9.443
Ti 0.030 -0.815 5.783
Ti 0.007 -1.693 11.621
Ti 1.720 9.564 1.479
Ti 3.388 4.768 0.721
Ti 1.728 8.262 10.127
Ti 3.397 4.337 3.619
Cr -0.822 9.349 2.890
Cr -1.666 3.080 12.312
Cr 0.834 4.137 5.098
Cr 0.918 3.723 7.950
Cr 2.567 -1.064 7.252
O -1.516 8.075 4.159
O -2.364 2.215 10.754
O -1.749 7.640 6.974
O -0.055 3.696 0.462
O -1.604 -0.605 11.657
O -0.720 5.244 5.149
O -0.051 3.261 3.559
O -1.697 7.194 10.079
O 0.883 0.856 1.747
O -0.733 4.796 8.231
O 0.151 2.876 6.315
O -1.514 6.781 12.898
O 0.740 0.440 4.487
O -0.906 4.388 11.027
O -0.025 2.428 9.125
O 0.834 8.262 2.641
O 1.754 5.874 0.758
O 0.940 0.020 7.303
O -0.042 2.005 12.249
O 0.840 7.839 5.758
O 1.766 5.433 3.920
O 0.928 -0.396 10.415
O 0.989 7.422 8.539
O 2.671 3.476 2.008
O 3.258 1.089 0.166
O 1.600 4.985 6.729
O 2.481 3.073 4.823
O 0.838 6.987 11.328
O 3.438 0.672 2.969
O 1.797 4.609 9.490
O 2.461 2.624 7.913
O 3.374 8.482 1.407
O 3.467 0.246 6.057
O 1.831 4.157 12.575
O 4.104 5.663 2.328
O 3.275 -0.198 8.812
CELL_PARAMETERS angstrom
5.064 0.000 0.000
-0.812 9.783 0.000
-2.509 -1.923 13.059
```

## Properties
Calculated volume ... 8.99 A^3/atom
Formation energy from the elements ... -256.6 kJ per mole of atoms
E (MP2020) ... -7.208 eV/atom
Size of the total moment ... 10.000 μB/f.u.

# 4
Here is crystalline Li32Ti13Cr3O48 at its relaxed geometry from the Materials Project. Energies are from PBE with a Hubbard U. Values from VASP.

Quantum ESPRESSO input file:
```
&SYSTEM
  ibrav = 0, nat = 96, ntyp = 4
/
ATOMIC_SPECIES
Li 6.94 Li.upf
Ti 47.87 Ti.upf
Cr 52.00 Cr.upf
O 16.00 O.upf
ATOMIC_POSITIONS angstrom
Li 0.000 0.000 0.000
Li 5.880 4.338 9.680
Li 0.018 2.902 0.018
Li 0.063 5.808 0.023
Li 0.868 7.251 9.673
Li 1.650 5.785 12.092
Li 0.860 4.363 2.431
Li 1.647 2.904 4.846
Li 2.459 4.316 14.523
Li 2.488 7.256 14.524
Li 1.701 5.823 4.843
Li 1.720 8.739 4.852
Li 2.552 10.177 14.525
Li 2.524 7.287 7.260
Li 3.330 8.723 16.924
Li 3.321 5.819 9.689
Li 2.528 4.405 0.010
Li 2.562 7.323 0.005
Li 3.387 8.743 9.677
Li 2.597 1.394 0.010
Li 3.410 2.833 9.692
Li 4.196 10.217 12.098
Li 3.403 8.777 2.431
Li 4.983 8.735 14.508
Li 4.200 7.321 4.858
Li 5.000 2.844 14.504
Li 4.247 1.402 4.855
Li 4.280 4.333 4.844
Li 5.088 5.757 14.497
Li 5.066 2.851 7.266
Li 5.871 4.289 16.930
Li 5.857 10.234 9.661
Ti 1.649 2.843 12.127
Ti 0.854 7.312 2.431
Ti 0.863 1.415 2.431
Ti 1.674 8.738 12.098
Ti 3.308 5.746 16.962
Ti 2.522 1.402 7.282
Ti 2.541 4.339 7.272
Ti 3.392 2.894 2.433
Ti 3.406 5.833 2.431
Ti 4.230 7.244 12.062
Ti 5.843 7.242 16.917
Ti 5.078 5.829 7.237
Ti 5.878 10.187 16.896
Cr 3.340 2.832 16.929
Cr 4.166 4.329 12.092
Cr 5.059 8.742 7.265
O 1.521 8.716 15.826
O 0.738 7.279 6.170
O 0.884 1.278 6.182
O 0.896 4.456 6.144
O 1.698 5.872 15.805
O 1.711 2.740 15.844
O 1.594 8.840 8.337
O 1.620 5.706 8.384
O 2.423 7.122 18.045
O 2.441 10.307 18.002
O 2.576 4.296 18.025
O 1.799 2.865 8.366
O 2.379 10.210 10.996
O 1.598 8.780 1.337
O 1.765 2.792 1.336
O 1.769 5.943 1.311
O 2.566 7.366 10.974
O 2.609 4.233 11.011
O 3.273 2.938 13.194
O 3.285 8.610 13.214
O 2.493 7.199 3.549
O 2.492 1.517 3.532
O 2.665 4.362 3.526
O 3.474 5.737 13.180
O 3.251 2.863 6.166
O 4.055 4.244 15.854
O 3.434 5.717 6.167
O 4.238 7.123 15.825
O 4.247 10.280 15.806
O 3.489 8.848 6.164
O 4.920 2.730 18.033
O 4.145 1.298 8.384
O 4.962 5.862 18.021
O 4.161 4.451 8.357
O 4.339 7.323 8.344
O 5.149 8.712 18.021
O 4.137 4.365 1.337
O 4.946 5.803 10.993
O 5.093 2.978 10.998
O 5.102 8.627 10.999
O 4.307 1.528 1.314
O 4.309 7.207 1.331
O 5.806 4.227 13.193
O 5.031 2.784 3.552
O 5.035 5.934 3.528
O 5.832 7.356 13.194
O 5.207 8.776 3.524
O 6.012 10.206 13.198
CELL_PARAMETERS angstrom
5.081 0.000 0.000
0.005 8.829 0.000
1.595 2.853 19.328
```

## Properties
Calculated volume ... 9.03 A^3/atom
Formation energy from the elements ... -273.9 kJ per mole of atoms
E (MP2020) ... -7.320 eV/atom
Size of the total moment ... 6.007 μB/f.u.

# 5
Here is crystalline Li32Ti3Cr13O48 at its relaxed geometry from the Materials Project. Energies are from PBE with a Hubbard U. Values from VASP.

Quantum ESPRESSO input file:
```
&SYSTEM
  ibrav = 0, nat = 96, ntyp = 4
/
ATOMIC_SPECIES
Li 6.94 Li.upf
Ti 47.87 Ti.upf
Cr 52.00 Cr.upf
O 16.00 O.upf
ATOMIC_POSITIONS angstrom
Li 0.000 0.000 0.000
Li 0.843 1.440 9.636
Li 0.809 7.333 2.402
Li 1.667 8.739 12.058
Li 2.452 7.292 14.461
Li 1.633 5.893 4.832
Li 2.517 10.175 14.445
Li 1.694 8.763 4.832
Li 1.680 2.899 4.826
Li 2.536 4.331 14.468
Li 2.480 1.466 7.234
Li 3.320 2.875 16.859
Li 3.270 8.777 9.645
Li 2.467 7.349 0.010
Li 2.473 1.524 0.010
Li 3.377 5.815 9.629
Li 3.373 2.897 9.637
Li 4.248 7.244 19.253
Li 3.330 2.967 2.417
Li 4.181 4.353 12.039
Li 4.944 2.925 14.451
Li 4.142 4.431 4.816
Li 4.144 1.530 4.808
Li 5.046 5.780 14.463
Li 4.227 7.265 4.825
Li 5.065 8.698 14.439
Li 5.013 5.849 7.214
Li 5.865 7.252 16.855
Li 4.973 3.001 0.011
Li 5.813 4.410 9.643
Li 5.011 5.915 0.002
Li 5.869 7.301 9.635
Ti 0.813 4.388 2.444
Ti 1.643 2.938 12.011
Ti 5.019 8.797 7.258
Cr 1.643 5.871 12.048
Cr 0.807 1.451 2.411
Cr 3.290 8.687 16.887
Cr 2.483 7.279 7.229
Cr 2.504 4.344 7.213
Cr 3.379 5.817 16.832
Cr 4.159 7.231 12.070
Cr 3.318 5.904 2.409
Cr 3.376 8.835 2.388
Cr 4.221 10.163 12.049
Cr 5.815 10.190 16.876
Cr 5.034 2.982 7.220
Cr 5.911 4.313 16.835
O 0.674 1.500 6.144
O 1.508 2.923 15.761
O 0.823 4.263 6.141
O 1.745 8.841 15.769
O 1.742 5.724 15.777
O 0.916 7.400 6.119
O 2.400 10.090 17.956
O 2.392 4.457 17.925
O 1.585 8.677 8.364
O 1.628 3.079 8.317
O 2.616 7.296 17.950
O 1.782 5.862 8.284
O 1.521 2.936 1.321
O 2.373 4.402 10.949
O 2.503 7.158 10.963
O 1.691 8.925 1.302
O 2.583 10.288 10.944
O 1.755 5.794 1.327
O 2.425 4.499 3.523
O 3.284 2.775 13.149
O 2.465 1.346 3.520
O 3.319 5.934 13.130
O 3.453 8.690 13.137
O 2.643 7.318 3.471
O 4.060 7.206 15.772
O 3.234 5.811 6.147
O 3.357 3.060 6.121
O 3.390 8.643 6.142
O 4.271 10.043 15.787
O 4.262 4.410 15.755
O 4.926 5.663 17.945
O 4.931 8.781 17.933
O 4.109 7.392 8.317
O 4.163 4.261 8.332
O 4.285 1.503 8.319
O 5.130 2.833 17.942
O 4.892 8.751 10.985
O 4.081 7.376 1.329
O 4.196 1.380 1.320
O 5.044 5.973 10.933
O 4.227 4.543 1.306
O 5.088 2.818 10.934
O 5.781 10.281 13.140
O 4.954 5.785 3.512
O 5.848 7.150 13.158
O 5.030 8.917 3.494
O 5.136 2.923 3.502
O 5.991 4.389 13.125
CELL_PARAMETERS angstrom
5.060 0.000 0.000
0.026 8.750 0.000
1.675 2.806 19.253
```

## Properties
Calculated volume ... 8.88 A^3/atom
Formation energy from the elements ... -229.0 kJ per mole of atoms
E (MP2020) ... -7.038 eV/atom
Size of the total moment ... 25.999 μB/f.u.

> Among the records above, which one has the highest calculated volume?

Li32Ti13Cr3O48